Here is a relaxed Sr15Fe10Bi10O46 crystal from the Materials Project database. Energies are from PBE with a Hubbard U.

Summary:
Its symmetry is C222. As for the total energy: -1007.1 eV per cell. Its formation energy is -2.237 eV/atom.

Cell: 21.4057 21.4057 5.5464 Å, 90.00 90.00 100.09°
With the nearest neighbours (Å) after each atom.
Fractional coordinates of all 162 atoms:
O 0.2725 0.1710 0.1656  2 Bi 2.16-2.30
O 0.7438 0.9740 0.2744  1 Bi 2.09
O 0.9049 0.2908 0.4945  2 Fe 1.95
O 0.1946 0.8054 0.5000  2 Fe 1.95
O 0.7880 0.3094 0.2361  2 Fe 1.95-1.98
O 0.1641 0.9302 0.7334  1 Bi 2.09
O 0.5232 0.8846 0.0011  2 Fe 1.96
O 0.7766 0.5579 0.7290  1 Bi 2.09
O 0.6397 0.5494 0.8645  2 Bi 2.14
O 0.2562 0.0260 0.2744  1 Bi 2.09
O 0.8862 0.5210 0.4932  2 Fe 1.97-1.98
O 0.8054 0.1946 0.5000  2 Fe 1.95
O 0.3490 0.1230 0.7426  1 Bi 2.09
O 0.5382 0.3311 0.7006  1 Bi 2.07
O 0.3094 0.7880 0.7639  2 Fe 1.95-1.98
O 0.7349 0.6397 0.1531  2 Bi 2.15-2.22
O 0.7092 0.0951 0.5055  2 Fe 1.95
O 0.0698 0.8359 0.2666  1 Bi 2.09
O 0.7795 0.4250 0.5030  2 Fe 1.97-1.98
O 0.2120 0.6906 0.2361  2 Fe 1.95-1.98
O 0.0260 0.2562 0.7256  1 Bi 2.09
O 0.1864 0.0782 0.8454  2 Bi 2.14-2.39
O 0.1916 0.8084 0.0000  2 Fe 1.94
O 0.5943 0.1074 0.2426  2 Fe 1.94-1.97
O 0.5000 0.0000 0.7621  2 Fe 1.95
O 0.9302 0.1641 0.2666  1 Bi 2.09
O 0.2908 0.9049 0.5055  2 Fe 1.95
O 0.5710 0.2240 0.0016  2 Fe 1.99
O 0.3603 0.4506 0.8645  2 Bi 2.14
O 0.3308 0.6692 0.0000  2 Fe 2.00
O 0.2885 0.9066 0.0025  2 Fe 1.95-1.96
O 0.8926 0.4057 0.7574  2 Fe 1.94-1.97
O 0.9904 0.6171 0.9934  2 Fe 1.95-1.96
O 0.6722 0.3278 0.5000  2 Fe 1.99
O 0.7275 0.8290 0.1656  2 Bi 2.16-2.30
O 0.8084 0.1916 0.0000  2 Fe 1.94
O 0.2234 0.4421 0.7290  1 Bi 2.09
O 0.4768 0.1154 0.0011  2 Fe 1.96
O 0.8770 0.6510 0.2574  1 Bi 2.09
O 0.9871 0.0993 0.8341  1 Bi 2.14
O 0.2205 0.5750 0.5030  2 Fe 1.97-1.98
O 0.6171 0.9904 0.0066  2 Fe 1.95-1.96
O 0.4790 0.1138 0.5068  2 Fe 1.97-1.98
O 0.1230 0.3490 0.2574  1 Bi 2.09
O 0.4421 0.2234 0.2710  1 Bi 2.09
O 0.0096 0.3829 0.9934  2 Fe 1.95-1.96
O 0.3278 0.6722 0.5000  2 Fe 1.99
O 0.6510 0.8770 0.7426  1 Bi 2.09
O 0.3311 0.5382 0.2994  1 Bi 2.07
O 0.8359 0.0698 0.7334  1 Bi 2.09
O 0.1074 0.5943 0.7574  2 Fe 1.94-1.97
O 0.6152 0.9922 0.5019  2 Fe 1.96
O 0.0078 0.3848 0.4981  2 Fe 1.96
O 0.0000 0.5000 0.2379  2 Fe 1.95
O 0.5750 0.2205 0.4970  2 Fe 1.97-1.98
O 0.9007 0.0129 0.1659  1 Bi 2.14
O 0.7760 0.4290 0.9984  2 Fe 1.99
O 0.8290 0.7275 0.8344  2 Bi 2.16-2.30
O 0.9740 0.7438 0.7256  1 Bi 2.09
O 0.7115 0.0934 0.0025  2 Fe 1.95-1.96
O 0.1154 0.4768 0.9989  2 Fe 1.96
O 0.4506 0.3603 0.1355  2 Bi 2.14
O 0.0934 0.7115 0.9975  2 Fe 1.95-1.96
O 0.5579 0.7766 0.2710  1 Bi 2.09
O 0.0951 0.7092 0.4945  2 Fe 1.95
O 0.1138 0.4790 0.4932  2 Fe 1.97-1.98
O 0.1710 0.2725 0.8344  2 Bi 2.16-2.30
O 0.5580 0.4420 0.0000  2 Bi 2.11
O 0.5494 0.6397 0.1355  2 Bi 2.14
O 0.0782 0.1864 0.1546  2 Bi 2.14-2.39
O 0.3829 0.0096 0.0066  2 Fe 1.95-1.96
O 0.9066 0.2885 0.9975  2 Fe 1.95-1.96
O 0.4618 0.6689 0.7006  1 Bi 2.07
O 0.9922 0.6152 0.4981  2 Fe 1.96
O 0.0129 0.9007 0.8341  1 Bi 2.14
O 0.4290 0.7760 0.0016  2 Fe 1.99
O 0.4250 0.7795 0.4970  2 Fe 1.97-1.98
O 0.2651 0.3603 0.1531  2 Bi 2.15-2.22
O 0.4057 0.8926 0.2426  2 Fe 1.94-1.97
O 0.4420 0.5580 0.0000  2 Bi 2.11
O 0.9218 0.8136 0.1546  2 Bi 2.14-2.39
O 0.6692 0.3308 0.0000  2 Fe 2.00
O 0.8846 0.5232 0.9989  2 Fe 1.96
O 0.3603 0.2651 0.8469  2 Bi 2.15-2.22
O 0.6689 0.4618 0.2994  1 Bi 2.07
O 0.5210 0.8862 0.5068  2 Fe 1.97-1.98
O 0.0993 0.9871 0.1659  1 Bi 2.14
O 0.6397 0.7349 0.8469  2 Bi 2.15-2.22
O 0.6906 0.2120 0.7639  2 Fe 1.95-1.98
O 0.2240 0.5710 0.9984  2 Fe 1.99
O 0.3848 0.0078 0.5019  2 Fe 1.96
O 0.8136 0.9218 0.8454  2 Bi 2.14-2.39
Sr 0.0000 0.5000 0.7449  12 O 2.73-2.96
Sr 0.8932 0.6258 0.7422  8 O 2.54-2.82
Sr 0.0053 0.2806 0.2496  8 O 2.56-2.81
Sr 0.9947 0.7194 0.2496  8 O 2.56-2.81
Sr 0.8942 0.4072 0.2487  12 O 2.72-2.99
Sr 0.5689 0.3221 0.2489  5 O 2.52-2.61
Sr 0.1872 0.9079 0.2566  8 O 2.58-2.79
Sr 0.5928 0.1058 0.7513  12 O 2.72-2.99
Sr 0.7194 0.9947 0.7504  8 O 2.56-2.81
Sr 0.6258 0.8932 0.2578  8 O 2.54-2.82
Sr 0.5302 0.7870 0.7463  7 O 2.54-2.82
Sr 0.4311 0.6779 0.2489  5 O 2.52-2.61
Sr 0.7870 0.5302 0.2537  7 O 2.54-2.82
Sr 0.1068 0.3742 0.7422  8 O 2.54-2.82
Sr 0.3742 0.1068 0.2578  8 O 2.54-2.82
Sr 0.6885 0.2102 0.2531  12 O 2.71-3.03
Sr 0.0921 0.8128 0.7434  8 O 2.58-2.79
Sr 0.3221 0.5689 0.7511  5 O 2.52-2.61
Sr 0.3115 0.7898 0.2531  12 O 2.71-3.03
Sr 0.2806 0.0053 0.7504  8 O 2.56-2.81
Sr 0.5000 0.0000 0.2551  12 O 2.73-2.96
Sr 0.9079 0.1872 0.7434  8 O 2.58-2.79
Sr 0.8128 0.0921 0.2566  8 O 2.58-2.79
Sr 0.7898 0.3115 0.7469  12 O 2.71-3.03
Sr 0.1058 0.5928 0.2487  12 O 2.72-2.99
Sr 0.6779 0.4311 0.7511  5 O 2.52-2.61
Sr 0.4698 0.2130 0.7463  7 O 2.54-2.82
Sr 0.2102 0.6885 0.7469  12 O 2.71-3.03
Sr 0.2130 0.4698 0.2537  7 O 2.54-2.82
Sr 0.4072 0.8942 0.7513  12 O 2.72-2.99
Bi 0.7165 0.6241 0.7743  3 O 2.09-2.15
Bi 0.7172 0.8169 0.7808  3 O 2.09-2.22
Bi 0.2828 0.1831 0.7808  3 O 2.09-2.22
Bi 0.3759 0.2835 0.2257  3 O 2.09-2.15
Bi 0.6031 0.5185 0.2120  3 O 2.07-2.14
Bi 0.8169 0.7172 0.2192  3 O 2.09-2.22
Bi 0.6241 0.7165 0.2257  3 O 2.09-2.15
Bi 0.5185 0.6031 0.7880  3 O 2.07-2.14
Bi 0.1912 0.0872 0.2296  3 O 2.09-2.30
Bi 0.9128 0.8088 0.7704  3 O 2.09-2.30
Bi 0.1831 0.2828 0.2192  3 O 2.09-2.22
Bi 0.1000 0.9925 0.7798  2 O 2.09-2.14
Bi 0.2835 0.3759 0.7743  3 O 2.09-2.15
Bi 0.4815 0.3969 0.7880  3 O 2.07-2.14
Bi 0.8088 0.9128 0.2296  3 O 2.09-2.30
Bi 0.0075 0.9000 0.2202  2 O 2.09-2.14
Bi 0.9925 0.1000 0.2202  2 O 2.09-2.14
Bi 0.9000 0.0075 0.7798  2 O 2.09-2.14
Bi 0.3969 0.4815 0.2120  3 O 2.07-2.14
Bi 0.0872 0.1912 0.7704  3 O 2.09-2.30
Fe 0.5632 0.9445 0.7553  5 O 1.95-1.97
Fe 0.9445 0.5632 0.2447  5 O 1.95-1.97
Fe 0.3444 0.9494 0.2522  5 O 1.94-1.96
Fe 0.0506 0.6556 0.7478  5 O 1.94-1.96
Fe 0.0555 0.4368 0.2447  5 O 1.95-1.97
Fe 0.1525 0.7501 0.2464  5 O 1.94-1.96
Fe 0.6556 0.0506 0.2522  5 O 1.94-1.96
Fe 0.1632 0.5301 0.7494  5 O 1.96-1.99
Fe 0.4368 0.0555 0.7553  5 O 1.95-1.97
Fe 0.5301 0.1632 0.2506  5 O 1.96-1.99
Fe 0.9494 0.3444 0.7478  5 O 1.94-1.96
Fe 0.2499 0.8475 0.7536  5 O 1.94-1.96
Fe 0.7303 0.3723 0.2495  5 O 1.98-2.00
Fe 0.4699 0.8368 0.2506  5 O 1.96-1.99
Fe 0.2697 0.6277 0.2495  5 O 1.98-2.00
Fe 0.3723 0.7303 0.7505  5 O 1.98-2.00
Fe 0.6277 0.2697 0.7505  5 O 1.98-2.00
Fe 0.8475 0.2499 0.2464  5 O 1.94-1.96
Fe 0.8368 0.4699 0.7494  5 O 1.96-1.99
Fe 0.7501 0.1525 0.7536  5 O 1.94-1.96

Here is a relaxed SrFe3Bi2O9 crystal from the Materials Project database. Energies are from PBE with a Hubbard U.

Summary:
Its symmetry is P-3m1. As for the total energy: -92.8 eV per cell. Its formation energy is -1.753 eV/atom.

Cell: 5.5870 5.5870 6.8675 Å, 90.00 90.00 120.00°
With the nearest neighbours (Å) after each atom.
Fractional coordinates of all 15 atoms:
O 0.6523 0.8261 0.8456  2 Fe 1.99-2.06
O 0.5000 0.0000 0.5000  2 Fe 1.90
O 0.1739 0.8261 0.8456  2 Fe 1.99-2.06
O 0.3477 0.1739 0.1544  2 Fe 1.99-2.06
O 0.5000 0.5000 0.5000  2 Fe 1.90
O 0.1739 0.3477 0.8456  2 Fe 1.99-2.06
O 0.0000 0.5000 0.5000  2 Fe 1.90
O 0.8261 0.1739 0.1544  2 Fe 1.99-2.06
O 0.8261 0.6523 0.1544  2 Fe 1.99-2.06
Bi 0.3333 0.6667 0.1109  3 O 2.39
Bi 0.6667 0.3333 0.8891  3 O 2.39
Fe 0.0000 0.0000 0.0000  6 O 1.99
Fe 0.6667 0.3333 0.3524  6 O 1.90-2.06
Fe 0.3333 0.6667 0.6476  6 O 1.90-2.06
Sr 0.0000 0.0000 0.5000  12 O 2.79-2.91

Here is a relaxed SrTiFeBiO6 crystal from the Materials Project database. Energies are from PBE with a Hubbard U.

Summary:
As for the total energy: -284.9 eV per cell. Its formation energy is -2.598 eV/atom.

Cell: 7.9860 9.7592 7.9882 Å, 114.05 89.71 114.03°
With the nearest neighbours (Å) after each atom.
Fractional coordinates of all 40 atoms:
O 0.2308 0.9805 0.1822  1 Fe 1.99, 1 Ti 2.14
O 0.4808 0.4805 0.9322  1 Fe 1.99, 1 Ti 2.14
O 0.0765 0.1918 0.3363  1 Fe 1.99, 1 Ti 2.14
O 0.8524 0.7561 0.0774  1 Ti 1.88
O 0.6024 0.2561 0.3274  1 Ti 1.88
O 0.9808 0.4805 0.4322  1 Fe 1.99, 1 Ti 2.14
O 0.9367 0.4745 0.9929  1 Ti 1.88
O 0.3265 0.6918 0.0863  1 Fe 1.99, 1 Ti 2.14
O 0.6868 0.9744 0.2429  1 Ti 1.88
O 0.3524 0.7561 0.5774  1 Ti 1.88
O 0.7308 0.9805 0.6822  1 Fe 1.99, 1 Ti 2.14
O 0.8265 0.6918 0.5863  1 Fe 1.99, 1 Ti 2.14
O 0.3559 0.1995 0.5743  1 Ti 1.88
O 0.4368 0.4745 0.4930  1 Ti 1.88
O 0.8118 0.2402 0.6009  1 Fe 1.99, 1 Ti 2.14
O 0.6059 0.6994 0.3243  1 Ti 1.88, 1 Fe 2.11
O 0.5765 0.1918 0.8363  1 Fe 1.99, 1 Ti 2.14
O 0.3119 0.2403 0.1009  1 Fe 1.99, 1 Ti 2.14
O 0.8558 0.1995 0.0743  1 Ti 1.88
O 0.5618 0.7403 0.8509  1 Fe 1.99, 1 Ti 2.14
O 0.1058 0.6994 0.8243  1 Ti 1.88, 1 Fe 2.11
O 0.1869 0.9745 0.7429  1 Ti 1.88
O 0.0618 0.7403 0.3509  1 Fe 1.99, 1 Ti 2.14
O 0.1024 0.2561 0.8274  1 Ti 1.88
Ti 0.8654 0.2437 0.8655  3 O 1.88
Ti 0.1155 0.7437 0.6155  3 O 1.88
Ti 0.3654 0.2437 0.3655  3 O 1.88
Ti 0.6155 0.7437 0.1155  3 O 1.88
Sr 0.9894 0.9930 0.4894  6 O 2.56-2.68
Sr 0.2394 0.4929 0.2394  6 O 2.56-2.68
Sr 0.4894 0.9929 0.9894  6 O 2.56-2.68
Sr 0.7394 0.4929 0.7394  6 O 2.56-2.68
Fe 0.1023 0.7348 0.1023  6 O 1.99-2.11
Fe 0.8524 0.2350 0.3524  6 O 1.99-2.11
Fe 0.6024 0.7349 0.6024  6 O 1.99-2.11
Fe 0.3524 0.2350 0.8524  6 O 1.99-2.11
Bi 0.5274 0.0185 0.5276  3 O 2.27-2.28
Bi 0.2775 0.5185 0.7775  3 O 2.27-2.28
Bi 0.7775 0.5185 0.2775  3 O 2.27-2.28
Bi 0.0275 0.0185 0.0276  3 O 2.27-2.28

Here is a relaxed TiFeBi2O6 crystal from the Materials Project database. Energies are from PBE with a Hubbard U.

Summary:
Its symmetry is P1. As for the total energy: -277.0 eV per cell. Its formation energy is -2.178 eV/atom.

Cell: 5.7089 9.9709 9.9078 Å, 79.49 106.69 89.75°
With the nearest neighbours (Å) after each atom.
Fractional coordinates of all 40 atoms:
Bi 0.6292 0.1382 0.2546  5 O 2.26-2.54
Bi 0.5005 0.5086 0.0041  6 O 2.37-2.44
Bi 0.0007 0.0082 0.0028  6 O 2.37-2.44
Bi 0.2512 0.2580 0.5023  6 O 2.38-2.43
Bi 0.8768 0.3881 0.7537  4 O 2.26-2.51
Bi 0.3765 0.8875 0.7546  5 O 2.26-2.53
Bi 0.1287 0.6369 0.2548  5 O 2.27-2.53
Bi 0.7519 0.7582 0.5036  6 O 2.38-2.44
O 0.4099 0.7978 0.2847  1 Fe 2.10, 1 Ti 2.12, 1 Bi 2.27
O 0.4349 0.4653 0.4418  1 Ti 1.90
O 0.4370 0.3233 0.7280  1 Ti 1.91
O 0.6718 0.5954 0.6945  1 Ti 2.11, 1 Fe 2.13, 1 Bi 2.26
O 0.7178 0.1770 0.0145  1 Ti 1.90
O 0.3896 0.9585 0.9612  1 Fe 2.08, 1 Ti 2.13, 1 Bi 2.27
O 0.9402 0.8215 0.7291  1 Ti 1.90
O 0.6640 0.0467 0.7842  1 Fe 2.07, 1 Ti 2.15, 1 Bi 2.28
O 0.9672 0.4270 0.5166  1 Ti 1.90
O 0.9185 0.8434 0.1936  1 Fe 2.09, 1 Ti 2.13, 1 Bi 2.27
O 0.2193 0.6783 0.0159  1 Ti 1.91
O 0.1860 0.2151 0.9407  1 Ti 1.89
O 0.8907 0.4575 0.9637  1 Fe 2.05, 1 Ti 2.14, 1 Bi 2.29
O 0.6895 0.5719 0.2303  1 Ti 1.90
O 0.6398 0.2084 0.4618  1 Fe 2.08, 1 Ti 2.12, 1 Bi 2.27
O 0.6864 0.7160 0.9411  1 Ti 1.90
O 0.1630 0.5463 0.7871  1 Fe 2.10, 1 Ti 2.13, 1 Bi 2.27
O 0.1852 0.0732 0.2279  1 Ti 1.91
O 0.4671 0.9278 0.5140  1 Ti 1.89
O 0.9117 0.2973 0.2863  1 Fe 2.11, 1 Ti 2.13, 1 Bi 2.26
O 0.1420 0.7078 0.4635  1 Fe 2.06, 1 Ti 2.14, 1 Bi 2.29
O 0.9357 0.9654 0.4423  1 Ti 1.91
O 0.4201 0.3446 0.1938  1 Fe 2.12, 1 Ti 2.13, 1 Bi 2.27
O 0.1719 0.0948 0.6933  1 Ti 2.11, 1 Fe 2.12, 1 Bi 2.26
Fe 0.5587 0.7889 0.1155  6 O 2.08-2.29
Fe 0.3054 0.5384 0.6149  6 O 2.06-2.29
Fe 0.8066 0.0384 0.6162  6 O 2.07-2.30
Fe 0.0559 0.2891 0.1137  5 O 2.05-2.29
Ti 0.6822 0.4113 0.3651  5 O 1.90-2.13
Ti 0.1825 0.9117 0.3641  3 O 1.89-1.91
Ti 0.9319 0.6614 0.8645  4 O 1.90-2.11
Ti 0.4309 0.1618 0.8638  4 O 1.89-2.11

What is the formula in the first record? Sr15Fe10Bi10O46